# AgMo4H22C8N3O15

A geometry-optimized AgMo4H22C8N3O15 structure (GGA+U, Materials Project).

Cell lengths 10.207, 10.738, 12.056 Å; angles 85.67, 114.40, 110.15 degrees
Sites, in units of the cell vectors:
H (0.197, 0.334, 0.993)
C (0.111, 0.831, 0.951)
H (0.881, 0.088, 0.109)
O (0.322, 0.277, 0.817)
O (0.871, 0.991, 0.290)
H (0.308, 0.630, 0.497)
C (0.958, 0.518, 0.256)
C (0.692, 0.607, 0.935)
H (0.947, 0.158, 0.993)
O (0.565, 0.878, 0.267)
H (0.364, 0.897, 0.904)
C (0.666, 0.825, 0.888)
H (0.162, 0.475, 0.487)
H (0.803, 0.666, 0.007)
C (0.645, 0.182, 0.033)
H (0.708, 0.279, 0.087)
O (0.061, 0.256, 0.376)
O (0.165, 0.116, 0.283)
C (0.446, 0.626, 0.783)
H (0.130, 0.627, 0.490)
H (0.785, 0.862, 0.958)
H (0.257, 0.758, 0.093)
O (0.598, 0.906, 0.836)
O (0.143, 0.052, 0.498)
O (0.549, 0.813, 0.528)
H (0.119, 0.912, 0.891)
H (0.712, 0.554, 0.872)
Mo (0.703, 0.753, 0.578)
Ag (0.486, 0.970, 0.621)
O (0.678, 0.692, 0.419)
C (0.355, 0.818, 0.967)
Mo (0.070, 0.873, 0.579)
O (0.173, 0.620, 0.152)
H (0.292, 0.721, 0.913)
C (0.184, 0.576, 0.457)
H (0.952, 0.264, 0.104)
O (0.402, 0.094, 0.164)
H (0.912, 0.419, 0.285)
Ag (0.514, 0.030, 0.379)
N (0.124, 0.571, 0.324)
H (0.628, 0.532, 0.979)
Mo (0.913, 0.065, 0.684)
N (0.732, 0.165, 0.966)
O (0.835, 0.884, 0.717)
N (0.268, 0.835, 0.034)
H (0.379, 0.567, 0.832)
H (0.288, 0.446, 0.128)
O (0.129, 0.009, 0.710)
O (0.678, 0.723, 0.183)
C (0.783, 0.381, 0.734)
N (0.396, 0.308, 0.131)
O (0.973, 0.808, 0.405)
Mo (0.930, 0.127, 0.421)
H (0.069, 0.490, 0.842)
H (0.673, 0.074, 0.913)
O (0.646, 0.607, 0.642)
H (0.469, 0.820, 0.032)
Mo (0.087, 0.935, 0.316)
C (0.042, 0.482, 0.744)
H (0.931, 0.510, 0.158)
H (0.048, 0.736, 0.896)
H (0.215, 0.138, 0.042)
H (0.743, 0.242, 0.907)
O (0.765, 0.168, 0.368)
H (0.531, 0.180, 0.968)
C (0.217, 0.619, 0.266)
O (0.827, 0.380, 0.848)
H (0.397, 0.701, 0.735)
O (0.322, 0.308, 0.581)
H (0.636, 0.103, 0.096)
O (0.354, 0.393, 0.358)
H (0.557, 0.441, 0.284)
O (0.435, 0.122, 0.733)
O (0.939, 0.744, 0.624)
O (0.857, 0.948, 0.502)
H (0.372, 0.468, 0.021)
C (0.889, 0.169, 0.049)
H (0.838, 0.525, 0.513)
Mo (0.297, 0.247, 0.422)
Mo (0.281, 0.179, 0.691)
O (0.235, 0.832, 0.632)
C (0.308, 0.393, 0.065)
H (0.603, 0.299, 0.265)
H (0.905, 0.585, 0.272)
H (0.053, 0.842, 0.007)
H (0.340, 0.659, 0.328)
O (0.741, 0.100, 0.620)
O (0.990, 0.856, 0.170)
H (0.870, 0.373, 0.510)
H (0.095, 0.415, 0.728)
H (0.621, 0.433, 0.168)
C (0.334, 0.175, 0.112)
H (0.327, 0.926, 0.087)
C (0.816, 0.424, 0.543)
O (0.451, 0.187, 0.472)
H (0.692, 0.370, 0.503)
O (0.259, 0.900, 0.380)
Mo (0.719, 0.821, 0.309)
C (0.554, 0.374, 0.217)
H (0.660, 0.341, 0.672)
N (0.604, 0.692, 0.869)
N (0.876, 0.429, 0.676)
O (0.010, 0.144, 0.830)
H (0.443, 0.559, 0.716)
O (0.027, 0.192, 0.595)
H (0.088, 0.581, 0.715)

Results
- Symmetry: P-1
- E: -0.437 Ry/atom
- Magnetization: 0.0 Bohr magnetons per cell
- Crystal system: triclinic
- Energy relative to the elements: -4252.8 kJ/mol of formula units